Record 1
The following is a PBE-GGA calculation of a relaxed structure of Tm3Pd4, from Materials Project.

abc: 7.7893 7.7893 7.7893
angles: 114.28 114.28 114.28
Closest atoms and distances in Å follow each position.
Element x y z (fractional)
Pd 0.0000 0.0000 0.0000  2 Pd 2.84, 6 Tm 2.86
Tm 0.0252 0.2789 0.4036  8 Pd 2.84-3.12
Tm 0.5964 0.9748 0.7211  8 Pd 2.84-3.12
Pd 0.0624 0.5514 0.2266  6 Tm 2.84-3.12, 3 Pd 2.87-2.96
Tm 0.7211 0.5964 0.9748  8 Pd 2.84-3.12
Pd 0.5000 0.5000 0.5000  2 Pd 2.84, 6 Tm 2.94
Pd 0.4486 0.7734 0.9376  6 Tm 2.84-3.12, 3 Pd 2.87-2.96
Pd 0.7734 0.9376 0.4486  6 Tm 2.84-3.12, 3 Pd 2.87-2.96
Tm 0.4036 0.0252 0.2789  8 Pd 2.84-3.12
Pd 0.5514 0.2266 0.0624  6 Tm 2.84-3.12, 3 Pd 2.87-2.96
Tm 0.2789 0.4036 0.0252  8 Pd 2.84-3.12
Pd 0.2266 0.0624 0.5514  6 Tm 2.84-3.12, 3 Pd 2.87-2.96
Tm 0.9748 0.7211 0.5964  8 Pd 2.84-3.12
Pd 0.9376 0.4486 0.7734  6 Tm 2.84-3.12, 3 Pd 2.87-2.96

## Properties
* energy: -5.860 eV per atom
* symmetry: No. 148

***

Record 2
The following is a PBE-GGA calculation of a relaxed structure of Nb3Te4ClO15, from Materials Project.

abc: 10.4585 10.4585 21.5638
angles: 65.59 65.59 45.07
Closest atoms and distances in Å follow each position.
Element x y z (fractional)
O 0.9002 0.6328 0.0516  1 Te 1.91, 1 Nb 1.96
O 0.0185 0.2639 0.3273  1 Te 1.93, 1 Nb 2.04
O 0.9010 0.0831 0.4251  1 Te 1.89, 1 Nb 2.05
O 0.0345 0.7625 0.0712  1 Te 1.91, 1 Nb 1.96
O 0.2585 0.9916 0.0024  1 Nb 1.82
O 0.3459 0.2222 0.8266  1 Te 1.91, 1 Nb 1.99
O 0.4729 0.1994 0.9215  1 Te 1.91, 1 Nb 2.08
O 0.6309 0.3459 0.9102  1 Te 1.91, 1 Nb 2.09
Te 0.0109 0.1241 0.8636  3 O 1.89-1.93
Te 0.7318 0.6095 0.1247  3 O 1.91
O 0.6328 0.9002 0.5516  1 Te 1.91, 1 Nb 1.96
Nb 0.1324 0.3746 0.2528  5 O 1.85-2.05
O 0.2563 0.5276 0.9656  1 Nb 1.89
Te 0.3905 0.2682 0.3753  3 O 1.91
O 0.8088 0.6373 0.4297  1 Te 1.90, 1 Nb 1.96
O 0.9655 0.2375 0.9288  1 Te 1.91, 1 Nb 1.96
O 0.3360 0.5216 0.5541  1 Te 1.89, 1 Nb 1.96
O 0.9219 0.6588 0.8179  1 Te 1.93, 1 Nb 2.05
O 0.6541 0.7778 0.1734  1 Te 1.91, 1 Nb 1.99
Cl 0.0416 0.9584 0.7500  4 Te 3.23-3.34, 2 O 3.32
O 0.3459 0.6309 0.4102  1 Te 1.91, 1 Nb 2.09
Te 0.6095 0.7318 0.6247  3 O 1.91
O 0.7361 0.9815 0.1727  1 Te 1.93, 1 Nb 2.04
O 0.7437 0.4724 0.0344  1 Nb 1.89
O 0.3672 0.0998 0.4484  1 Te 1.91, 1 Nb 1.96
O 0.5700 0.7099 0.3192  1 Te 1.92, 1 Nb 1.99
O 0.3691 0.6541 0.0898  1 Te 1.91, 1 Nb 2.09
O 0.7099 0.5700 0.8192  1 Te 1.92, 1 Nb 1.99
O 0.0831 0.9010 0.9251  1 Te 1.89, 1 Nb 2.05
Nb 0.5187 0.2383 0.9946  3 O 1.82-1.96
O 0.2375 0.9655 0.4288  1 Te 1.91, 1 Nb 1.96
Nb 0.2583 0.9861 0.5100  5 O 1.89-2.05
O 0.1994 0.4729 0.4215  1 Te 1.91, 1 Nb 2.08
Te 0.2279 0.1252 0.1439  3 O 1.89-1.93
O 0.2639 0.0185 0.8273  1 Te 1.93, 1 Nb 2.04
O 0.4300 0.2901 0.6808  1 Te 1.92, 1 Nb 1.99
O 0.7625 0.0345 0.5712  1 Te 1.91, 1 Nb 1.96
O 0.9169 0.0990 0.0749  1 Te 1.89, 1 Nb 2.05
Te 0.1241 0.0109 0.3636  3 O 1.89-1.93
Nb 0.3746 0.1324 0.7528  5 O 1.85-2.05
Nb 0.7617 0.4813 0.5054  3 O 1.82-1.96
Te 0.7721 0.8748 0.8561  3 O 1.89-1.93
O 0.6541 0.3691 0.5898  1 Te 1.91, 1 Nb 2.09
Nb 0.9861 0.2583 0.0100  5 O 1.89-2.05
Cl 0.4559 0.5441 0.2500  4 Te 3.22-3.30, 2 O 3.45
O 0.9815 0.7361 0.6727  1 Te 1.93, 1 Nb 2.04
O 0.0781 0.3412 0.1821  1 Te 1.93, 1 Nb 2.05
O 0.6640 0.4784 0.4459  1 Te 1.89, 1 Nb 1.96
Nb 0.7417 0.0139 0.4900  5 O 1.89-2.05
Te 0.8759 0.9891 0.6364  3 O 1.89-1.93
O 0.9479 0.7627 0.9077  1 Te 1.89, 1 Nb 2.04
O 0.0998 0.3672 0.9484  1 Te 1.91, 1 Nb 1.96
Nb 0.4813 0.7617 0.0054  3 O 1.82-1.96
O 0.1912 0.3627 0.5703  1 Te 1.90, 1 Nb 1.96
Te 0.1252 0.2279 0.6439  3 O 1.89-1.93
O 0.4724 0.7437 0.5344  1 Nb 1.89
O 0.5271 0.8006 0.0785  1 Te 1.91, 1 Nb 2.08
Nb 0.0139 0.7417 0.9900  5 O 1.89-2.05
O 0.0990 0.9169 0.5749  1 Te 1.89, 1 Nb 2.05
Cl 0.5441 0.4559 0.7500  4 Te 3.22-3.30, 2 O 3.45
O 0.9207 0.6179 0.2530  1 Nb 1.85
O 0.2901 0.4300 0.1808  1 Te 1.92, 1 Nb 1.99
O 0.2222 0.3459 0.3266  1 Te 1.91, 1 Nb 1.99
O 0.0084 0.7415 0.4976  1 Nb 1.82
Nb 0.8676 0.6254 0.7472  5 O 1.85-2.05
O 0.7415 0.0084 0.9976  1 Nb 1.82
Te 0.5076 0.3981 0.1290  3 O 1.89-1.92
O 0.3821 0.0793 0.2470  1 Nb 1.85
O 0.7778 0.6541 0.6734  1 Te 1.91, 1 Nb 1.99
Te 0.4924 0.6019 0.8710  3 O 1.89-1.92
O 0.5216 0.3360 0.0541  1 Te 1.89, 1 Nb 1.96
Te 0.9891 0.8759 0.1364  3 O 1.89-1.93
Te 0.2682 0.3905 0.8753  3 O 1.91
O 0.9916 0.2585 0.5024  1 Nb 1.82
O 0.4784 0.6640 0.9459  1 Te 1.89, 1 Nb 1.96
O 0.6179 0.9207 0.7530  1 Nb 1.85
Nb 0.2383 0.5187 0.4946  3 O 1.82-1.96
Te 0.6019 0.4924 0.3710  3 O 1.89-1.92
O 0.8006 0.5271 0.5785  1 Te 1.91, 1 Nb 2.08
O 0.6588 0.9219 0.3179  1 Te 1.93, 1 Nb 2.05
Te 0.3981 0.5076 0.6290  3 O 1.89-1.92
O 0.2373 0.0521 0.5923  1 Te 1.89, 1 Nb 2.04
O 0.6373 0.8088 0.9297  1 Te 1.90, 1 Nb 1.96
O 0.3412 0.0781 0.6821  1 Te 1.93, 1 Nb 2.05
O 0.7627 0.9479 0.4077  1 Te 1.89, 1 Nb 2.04
O 0.5276 0.2563 0.4656  1 Nb 1.89
O 0.0521 0.2373 0.0923  1 Te 1.89, 1 Nb 2.04
Te 0.8748 0.7721 0.3561  3 O 1.89-1.93
O 0.0793 0.3821 0.7470  1 Nb 1.85
Nb 0.6254 0.8676 0.2472  5 O 1.85-2.05
O 0.3627 0.1912 0.0703  1 Te 1.90, 1 Nb 1.96
Cl 0.9584 0.0416 0.2500  4 Te 3.23-3.34, 2 O 3.32

## Properties
* total magnetization: 0.00 μB per formula unit
* corrected total energy (MP2020 scheme): -674.50 eV for the cell shown
* energy: -6.883 eV per atom
* symmetry: No. 15

***

Record 3
The following is a PBE-GGA calculation of a relaxed structure of Cu4IBr3, from Materials Project.

abc: 12.7606 12.7606 12.7606
angles: 17.49 17.49 17.49
Closest atoms and distances in Å follow each position.
Element x y z (fractional)
Cu 0.3749 0.3749 0.3749  6 Br 2.70-2.73
Br 0.0000 0.0000 0.0000  6 Cu 2.73
I 0.5000 0.5000 0.5000  6 Cu 2.76
Cu 0.8760 0.8760 0.8760  3 Br 2.75, 3 I 2.76
Br 0.7481 0.7481 0.7481  6 Cu 2.70-2.75
Cu 0.6251 0.6251 0.6251  6 Br 2.70-2.73
Cu 0.1240 0.1240 0.1240  3 Br 2.75, 3 I 2.76
Br 0.2519 0.2519 0.2519  6 Cu 2.70-2.75

## Properties
* total magnetization: 0.00 μB per formula unit
* corrected total energy (MP2020 scheme): -24.60 eV for the cell shown
* energy: -2.874 eV per atom
* symmetry: No. 166

***

Record 4
The following is a PBE-GGA calculation of a relaxed structure of CaMg6Fe, from Materials Project.

abc: 4.8417 6.1751 11.8960
angles: 90.00 90.00 90.00
Closest atoms and distances in Å follow each position.
Element x y z (fractional)
Mg 0.0000 0.7382 0.0795  2 Fe 2.92, 7 Mg 2.93-3.24, 1 Ca 3.06
Mg 0.0000 0.0000 0.3366  8 Mg 3.06-3.24, 2 Ca 3.11
Mg 0.0000 0.2618 0.0795  2 Fe 2.92, 7 Mg 2.93-3.24, 1 Ca 3.06
Mg 0.0000 0.5000 0.8366  8 Mg 3.06-3.24, 2 Ca 3.11
Mg 0.0000 0.7618 0.5795  2 Fe 2.92, 7 Mg 2.93-3.24, 1 Ca 3.06
Mg 0.0000 0.2382 0.5795  2 Fe 2.92, 7 Mg 2.93-3.24, 1 Ca 3.06
Ca 0.0000 0.5000 0.3055  8 Mg 3.06-3.32, 2 Fe 3.14
Mg 0.5000 0.2415 0.4407  1 Fe 2.78, 5 Mg 2.93-3.10
Mg 0.5000 0.7415 0.9407  1 Fe 2.78, 5 Mg 2.93-3.10
Ca 0.0000 0.0000 0.8055  8 Mg 3.06-3.32, 2 Fe 3.14
Fe 0.5000 0.0000 0.6379  6 Mg 2.78-2.92
Mg 0.5000 0.2585 0.9407  1 Fe 2.78, 5 Mg 2.93-3.10
Fe 0.5000 0.5000 0.1379  6 Mg 2.78-2.92
Mg 0.5000 0.7585 0.4407  1 Fe 2.78, 5 Mg 2.93-3.10
Mg 0.5000 0.5000 0.6796  8 Mg 3.06-3.26, 2 Fe 3.13
Mg 0.5000 0.0000 0.1796  8 Mg 3.06-3.26, 2 Fe 3.13

## Properties
* total magnetization: 2.47 μB per formula unit
* energy: -2.317 eV per atom

***

Record 5
The following is a PBE-GGA calculation of a relaxed structure of MgCoCu2SnS4, from Materials Project.

abc: 5.5236 6.2996 6.5998
angles: 118.64 114.97 89.66
Closest atoms and distances in Å follow each position.
Element x y z (fractional)
Sn 0.5016 0.5024 0.0033  4 S 2.82-2.83, 2 Mg 3.15
S 0.9218 0.9378 0.2819  1 Co 2.27, 2 Cu 2.38-2.42, 1 Mg 2.47
S 0.3589 0.3435 0.2822  1 Co 2.27, 2 Cu 2.38-2.42, 1 Mg 2.47
Co 0.0002 0.9993 0.0006  4 S 2.27-2.28
Cu 0.7742 0.2745 0.5485  4 S 2.39-2.42
Mg 0.4991 0.0004 0.9986  4 S 2.47, 2 Co 2.76
S 0.6395 0.0623 0.7173  1 Co 2.28, 2 Cu 2.39-2.43, 1 Mg 2.47
S 0.0787 0.6548 0.7173  1 Co 2.28, 2 Cu 2.39-2.43, 1 Mg 2.47
Cu 0.2261 0.7250 0.4503  4 S 2.38-2.43

## Properties
* total magnetization: 3.00 μB per formula unit
* corrected total energy (MP2020 scheme): -42.18 eV for the cell shown
* energy: -4.464 eV per atom
* symmetry: No. 1

***

Record 6
The following is a PBE-GGA calculation of a relaxed structure of MgAgF5, from Materials Project.

abc: 9.9851 5.2264 8.0610
angles: 69.30 90.00 90.00
Closest atoms and distances in Å follow each position.
Element x y z (fractional)
F 0.8399 0.1986 0.3388  1 Mg 2.05, 2 Ag 2.24-2.25
F 0.1601 0.8014 0.6612  1 Mg 2.05, 2 Ag 2.24-2.25
Ag 0.7530 0.1140 0.6087  5 F 2.01-2.24
F 0.3399 0.8014 0.1612  1 Mg 2.05, 2 Ag 2.24-2.25
F 0.1299 0.2154 0.8497  1 Mg 1.96, 1 Ag 2.04
F 0.5942 0.8657 0.2244  1 Mg 1.98, 1 Ag 2.01
F 0.9019 0.3688 0.9950  1 Ag 2.04, 1 Mg 2.07
F 0.0942 0.1343 0.2756  1 Mg 1.98, 1 Ag 2.01
Mg 0.0076 0.5265 0.7593  5 F 1.96-2.07
Mg 0.9924 0.4735 0.2407  5 F 1.96-2.07
F 0.3701 0.2154 0.3497  1 Mg 1.96, 1 Ag 2.04
F 0.4058 0.1343 0.7756  1 Mg 1.98, 1 Ag 2.01
Ag 0.7470 0.1140 0.1087  5 F 2.01-2.24
F 0.5981 0.3688 0.4950  1 Ag 2.04, 1 Mg 2.07
Ag 0.2530 0.8860 0.8913  5 F 2.01-2.24
Ag 0.2470 0.8860 0.3913  5 F 2.01-2.24
F 0.3882 0.5703 0.9107  1 Mg 2.01, 1 Ag 2.09
F 0.0981 0.6312 0.0050  1 Ag 2.04, 1 Mg 2.07
F 0.9058 0.8657 0.7244  1 Mg 1.98, 1 Ag 2.01
F 0.4019 0.6312 0.5050  1 Ag 2.04, 1 Mg 2.07
F 0.6299 0.7846 0.6503  1 Mg 1.96, 1 Ag 2.04
F 0.1118 0.5703 0.4107  1 Mg 2.01, 1 Ag 2.09
F 0.6118 0.4297 0.0893  1 Mg 2.01, 1 Ag 2.09
Mg 0.5076 0.4735 0.7407  5 F 1.96-2.07
F 0.8701 0.7846 0.1503  1 Mg 1.96, 1 Ag 2.04
F 0.6601 0.1986 0.8388  1 Mg 2.05, 2 Ag 2.24-2.25
Mg 0.4924 0.5265 0.2593  5 F 1.96-2.07
F 0.8882 0.4297 0.5893  1 Mg 2.01, 1 Ag 2.09

## Properties
* total magnetization: 1.00 μB per formula unit
* corrected total energy (MP2020 scheme): -119.92 eV for the cell shown
* energy: -3.953 eV per atom
* symmetry: No. 14

***

Record 7
The following is a PBE-GGA calculation of a relaxed structure of VN3Cl5, from Materials Project.

abc: 7.5184 10.8560 13.6180
angles: 90.00 90.00 90.00
Closest atoms and distances in Å follow each position.
Element x y z (fractional)
N 0.1423 0.0075 0.1428  4 Cl 3.16-3.35
V 0.7448 0.7500 0.6094  1 N 1.80
Cl 0.5960 0.7500 0.7474  1 V 2.19
V 0.2552 0.2500 0.3906  1 N 1.80
Cl 0.3442 0.7500 0.1494  1 N 1.59
V 0.2448 0.2500 0.8906  1 N 1.80
N 0.8577 0.9925 0.8572  4 Cl 3.16-3.35
N 0.6423 0.5075 0.3572  4 Cl 3.16-3.35
N 0.5203 0.7500 0.0842  1 Cl 1.59
N 0.0203 0.2500 0.4158  1 Cl 1.59
Cl 0.5782 0.7500 0.4802  1 V 2.16
N 0.3577 0.0075 0.6428  4 Cl 3.16-3.35
Cl 0.7194 0.5434 0.1166  1 V 2.26
Cl 0.2806 0.4566 0.8834  1 V 2.26
Cl 0.9040 0.7500 0.2474  1 V 2.19
Cl 0.2806 0.0434 0.8834  1 V 2.26
Cl 0.7194 0.9566 0.1166  1 V 2.26
Cl 0.2194 0.4566 0.3834  1 V 2.26
N 0.3577 0.4925 0.6428  4 Cl 3.16-3.35
Cl 0.4218 0.2500 0.5198  1 V 2.16
Cl 0.0960 0.2500 0.7526  1 V 2.19
Cl 0.2194 0.0434 0.3834  1 V 2.26
V 0.7552 0.7500 0.1094  1 N 1.80
N 0.9797 0.7500 0.5842  1 Cl 1.59
Cl 0.7806 0.5434 0.6166  1 V 2.26
Cl 0.8442 0.2500 0.3506  1 N 1.59
Cl 0.9218 0.7500 0.9802  1 V 2.16
Cl 0.7806 0.9566 0.6166  1 V 2.26
N 0.1423 0.4925 0.1428  4 Cl 3.16-3.35
Cl 0.6558 0.2500 0.8506  1 N 1.59
Cl 0.4040 0.2500 0.2526  1 V 2.19
N 0.6423 0.9925 0.3572  4 Cl 3.16-3.35
Cl 0.1558 0.7500 0.6494  1 N 1.59
N 0.8577 0.5075 0.8572  4 Cl 3.16-3.35
Cl 0.0782 0.2500 0.0198  1 V 2.16
N 0.4797 0.2500 0.9158  1 Cl 1.59

## Properties
* total magnetization: 2.00 μB per formula unit
* corrected total energy (MP2020 scheme): -157.78 eV for the cell shown
* energy: -4.042 eV per atom
* symmetry: No. 62

***

Record 8
The following is a PBE-GGA calculation of a relaxed structure of SrYMg14O16, from Materials Project.

abc: 4.4796 8.8000 8.9409
angles: 90.00 90.00 90.00
Closest atoms and distances in Å follow each position.
Element x y z (fractional)
O 0.0000 0.7270 0.5000  3 Mg 2.00-2.21
Y 0.0000 0.0000 0.0000  6 O 2.16-2.30
O 0.5000 0.2499 0.7493  6 Mg 2.20-2.24
Mg 0.5000 0.5000 0.7486  6 O 2.20-2.25
O 0.0000 0.2613 0.0000  5 Mg 2.10-2.26, 1 Y 2.30
O 0.5000 0.7501 0.7493  6 Mg 2.20-2.24
Mg 0.0000 0.5000 0.5000  2 O 2.00
O 0.0000 0.7387 0.0000  5 Mg 2.10-2.26, 1 Y 2.30
Mg 0.5000 0.7377 0.5000  6 O 2.09-2.31
Mg 0.5000 0.5000 0.2514  6 O 2.20-2.25
Mg 0.5000 0.2623 0.5000  6 O 2.09-2.31
Mg 0.0000 0.7364 0.7474  6 O 2.08-2.32
O 0.0000 0.2730 0.5000  3 Mg 2.00-2.21
Sr 0.0000 0.0000 0.5000  6 O 2.24-2.40
O 0.5000 0.5000 0.0000  6 Mg 2.08-2.25
Mg 0.5000 0.0000 0.7456  6 O 2.20-2.27
Mg 0.5000 0.0000 0.2544  6 O 2.20-2.27
Mg 0.0000 0.7364 0.2526  6 O 2.08-2.32
O 0.5000 0.0000 0.5000  4 Mg 2.20-2.31, 2 Sr 2.24
Mg 0.5000 0.7360 0.0000  6 O 2.08-2.32
O 0.5000 0.7501 0.2507  6 Mg 2.20-2.24
Mg 0.0000 0.5000 0.0000  6 O 2.10-2.24
O 0.5000 0.5000 0.5000  6 Mg 2.09-2.24
O 0.0000 0.5000 0.2465  6 Mg 2.08-2.27
O 0.0000 0.5000 0.7535  6 Mg 2.08-2.27
O 0.0000 0.0000 0.7589  1 Y 2.16, 4 Mg 2.24-2.32, 1 Sr 2.31
Mg 0.5000 0.2640 0.0000  6 O 2.08-2.32
Mg 0.0000 0.2636 0.7474  6 O 2.08-2.32
O 0.5000 0.2499 0.2507  6 Mg 2.20-2.24
O 0.0000 0.0000 0.2411  1 Y 2.16, 4 Mg 2.24-2.32, 1 Sr 2.31
O 0.5000 0.0000 0.0000  2 Y 2.24, 4 Mg 2.27-2.32
Mg 0.0000 0.2636 0.2526  6 O 2.08-2.32

## Properties
* total magnetization: 0.01 μB per formula unit
* corrected total energy (MP2020 scheme): -202.86 eV for the cell shown
* energy: -5.996 eV per atom
* symmetry: No. 47